Compound: RbLiMg30O31
Source: Materials Project
Functional: GGA-PBE
Structure: relaxed

Summary:
* V: 10.053 Å³ per atom
* E_form: -2.90 eV per atom
* raw total energy: -5.8037 eV per atom
* SG: Pmm2, No. 25
* crystal system: orthorhombic

a = 8.479 Å, b = 8.626 Å, c = 8.659 Å
α = 90.00°, β = 90.00°, γ = 90.00°
Positions (direct):
Rb 0.908 0.500 0.000
Li 0.013 0.000 0.000
Mg 0.004 0.000 0.500
Mg 0.010 0.500 0.500
Mg 0.497 0.000 0.000
Mg 0.478 0.500 0.000
Mg 0.499 0.000 0.500
Mg 0.496 0.500 0.500
Mg 0.004 0.756 0.751
Mg 0.004 0.244 0.751
Mg 0.004 0.756 0.249
Mg 0.004 0.244 0.249
Mg 0.502 0.749 0.753
Mg 0.502 0.251 0.753
Mg 0.502 0.749 0.247
Mg 0.502 0.251 0.247
Mg 0.757 0.782 0.000
Mg 0.757 0.218 0.000
Mg 0.753 0.754 0.500
Mg 0.753 0.246 0.500
Mg 0.239 0.752 0.000
Mg 0.239 0.248 0.000
Mg 0.252 0.751 0.500
Mg 0.252 0.249 0.500
Mg 0.754 0.000 0.749
Mg 0.752 0.500 0.721
Mg 0.754 0.000 0.251
Mg 0.752 0.500 0.279
Mg 0.249 0.000 0.754
Mg 0.242 0.500 0.755
Mg 0.249 0.000 0.246
Mg 0.242 0.500 0.245
O 0.736 0.000 0.000
O 0.748 0.000 0.500
O 0.744 0.500 0.500
O 0.262 0.000 0.000
O 0.248 0.500 0.000
O 0.255 0.000 0.500
O 0.257 0.500 0.500
O 0.753 0.743 0.756
O 0.753 0.257 0.756
O 0.753 0.743 0.244
O 0.753 0.257 0.244
O 0.253 0.749 0.751
O 0.253 0.251 0.751
O 0.253 0.749 0.249
O 0.253 0.251 0.249
O 0.000 0.772 0.000
O 0.000 0.228 0.000
O 0.000 0.752 0.500
O 0.000 0.248 0.500
O 0.511 0.740 0.000
O 0.511 0.260 0.000
O 0.504 0.748 0.500
O 0.504 0.252 0.500
O 0.000 0.000 0.738
O 0.999 0.500 0.729
O 0.000 0.000 0.262
O 0.999 0.500 0.271
O 0.504 0.000 0.750
O 0.508 0.500 0.756
O 0.504 0.000 0.250
O 0.508 0.500 0.244